Entry 1:
First-principles (GGA+U) data for a geometry-optimized Sr7CaMn2Fe6O20 structure, as listed in the Materials Project database.

Properties
The space group is P1 (1). The crystal system is triclinic.

a b c (Å): 11.1741 11.3984 17.6518
angles (deg): 108.71 108.26 90.22
With the nearest neighbours (Å) after each atom.
Sites, in units of the cell vectors:
Sr 0.0000 0.0000 0.0000  7 O 2.48-2.76
Sr 0.9999 0.0047 0.5023  7 O 2.47-2.72
Sr 0.9998 0.5003 0.9997  6 O 2.47-2.73
Sr 0.0012 0.5031 0.5019  6 O 2.46-2.66
Sr 0.1401 0.1462 0.7829  7 O 2.46-2.74
Sr 0.1406 0.6440 0.7833  6 O 2.45-2.66
Sr 0.1430 0.1428 0.2849  7 O 2.49-2.77
Sr 0.1426 0.6425 0.2846  6 O 2.47-2.69
Sr 0.2501 0.2400 0.0008  7 O 2.48-2.77
Sr 0.2503 0.7371 0.5030  7 O 2.49-2.78
Sr 0.2499 0.7389 0.9999  6 O 2.48-2.73
Sr 0.2512 0.2387 0.5042  7 O 2.52-2.76
Sr 0.3904 0.8765 0.7834  7 O 2.46-2.70
Sr 0.3924 0.3813 0.2842  7 O 2.48-2.77
Sr 0.3929 0.8818 0.2849  7 O 2.49-2.78
Sr 0.5001 0.0060 0.5031  7 O 2.47-2.73
Sr 0.5003 0.5023 0.9989  6 O 2.46-2.71
Sr 0.5008 0.5040 0.5035  7 O 2.50-2.72
Sr 0.5016 0.0005 0.0007  6 O 2.48-2.70
Sr 0.6407 0.1463 0.7825  6 O 2.45-2.65
Sr 0.6431 0.1426 0.2842  6 O 2.49-2.67
Sr 0.6430 0.6450 0.2856  6 O 2.46-2.67
Sr 0.7497 0.2388 0.0003  7 O 2.48-2.76
Sr 0.7499 0.7380 0.5035  7 O 2.54-2.71
Sr 0.7507 0.7384 0.9996  7 O 2.48-2.77
Sr 0.7519 0.2407 0.5055  7 O 2.56-2.74
Sr 0.8913 0.3800 0.2841  7 O 2.49-2.72
Sr 0.8929 0.8816 0.2846  6 O 2.48-2.69
Ca 0.3914 0.3753 0.7871  7 O 2.37-2.64
Ca 0.6434 0.6518 0.7867  6 O 2.34-2.57
Ca 0.8906 0.3767 0.7866  7 O 2.37-2.64
Ca 0.8919 0.8754 0.7887  6 O 2.39-2.55
Mn 0.0546 0.8438 0.1421  4 O 1.90-2.01
Mn 0.0555 0.3452 0.1421  4 O 1.91-2.01
Mn 0.3045 0.0371 0.1422  4 O 1.90-2.02
Mn 0.3046 0.5405 0.1422  4 O 1.90-2.02
Mn 0.5549 0.8434 0.1421  4 O 1.90-2.00
Mn 0.8019 0.5398 0.6464  4 O 1.88-2.02
Mn 0.8044 0.5365 0.1420  4 O 1.90-2.01
Mn 0.8053 0.0371 0.1421  4 O 1.90-2.02
Fe 0.0493 0.8509 0.6448  4 O 1.88-1.97
Fe 0.0527 0.3519 0.6452  4 O 1.89-1.94
Fe 0.1963 0.9400 0.8908  6 O 1.99-2.20
Fe 0.1968 0.4393 0.8896  6 O 1.99-2.18
Fe 0.1979 0.4404 0.3926  5 O 2.00-2.14
Fe 0.1979 0.9411 0.3930  6 O 2.00-2.24
Fe 0.3019 0.0337 0.6435  4 O 1.88-1.95
Fe 0.3039 0.5298 0.6451  4 O 1.88-1.95
Fe 0.4471 0.6882 0.8886  6 O 2.00-2.19
Fe 0.4476 0.1903 0.8910  4 O 1.99-2.01
Fe 0.4477 0.1915 0.3926  5 O 1.98-2.15
Fe 0.4478 0.6910 0.3928  5 O 1.99-2.14
Fe 0.5522 0.3582 0.6470  4 O 1.88-1.96
Fe 0.5538 0.3526 0.1424  4 O 1.90-1.94
Fe 0.5536 0.8484 0.6437  4 O 1.88-1.96
Fe 0.6956 0.4393 0.8874  6 O 1.98-2.21
Fe 0.6974 0.9390 0.8898  6 O 1.99-2.21
Fe 0.6981 0.4399 0.3938  5 O 1.99-2.17
Fe 0.6980 0.9417 0.3932  5 O 1.99-2.16
Fe 0.8027 0.0317 0.6453  4 O 1.89-1.95
Fe 0.9451 0.6881 0.8890  6 O 1.98-2.18
Fe 0.9466 0.1898 0.8902  5 O 2.00-2.16
Fe 0.9473 0.6909 0.3927  5 O 2.00-2.15
Fe 0.9478 0.1911 0.3929  5 O 1.99-2.15
O 0.0183 0.2390 0.0264  1 Mn 1.92
O 0.0179 0.7400 0.0269  1 Mn 1.91
O 0.0218 0.7371 0.5349  1 Fe 1.88
O 0.0238 0.2380 0.5349  1 Fe 1.89
O 0.0632 0.0566 0.8801  2 Fe 2.00-2.01
O 0.0643 0.5565 0.8810  2 Fe 2.00-2.01
O 0.0691 0.0620 0.3867  2 Fe 2.00-2.01
O 0.0689 0.5620 0.3870  2 Fe 2.01
O 0.0727 0.8199 0.8970  2 Fe 1.99-2.01
O 0.0746 0.3198 0.8976  2 Fe 1.99-2.00
O 0.0763 0.3210 0.4015  2 Fe 2.00
O 0.0758 0.8210 0.4015  2 Fe 2.00
O 0.1300 0.0005 0.6432  2 Fe 1.94-1.95
O 0.1303 0.5024 0.6431  2 Fe 1.94-1.95
O 0.1334 0.5046 0.1421  2 Mn 1.95-2.01
O 0.1335 0.8553 0.2571  1 Mn 1.90
O 0.1341 0.3552 0.2574  1 Mn 1.91
O 0.1350 0.0023 0.1423  2 Mn 1.93-2.01
O 0.1377 0.8445 0.7530  1 Fe 1.88
O 0.1436 0.3461 0.7535  1 Fe 1.89
O 0.2673 0.0267 0.0271  1 Mn 1.91
O 0.2681 0.5275 0.0268  1 Mn 1.90
O 0.2753 0.0365 0.5335  1 Fe 1.88
O 0.2772 0.5341 0.5349  1 Fe 1.89
O 0.3175 0.0638 0.8843  2 Fe 1.99-2.01
O 0.3193 0.0643 0.3867  2 Fe 1.99-2.00
O 0.3188 0.5590 0.8811  2 Fe 2.00
O 0.3190 0.5640 0.3866  2 Fe 1.99-2.00
O 0.3252 0.8171 0.8991  2 Fe 2.01-2.02
O 0.3260 0.3192 0.4013  2 Fe 2.00
O 0.3261 0.8196 0.4016  2 Fe 2.00-2.01
O 0.3275 0.3185 0.8994  2 Fe 1.99-2.02
O 0.3799 0.3789 0.6513  2 Fe 1.94-1.96
O 0.3833 0.1408 0.2569  1 Mn 1.90
O 0.3834 0.6424 0.2575  1 Mn 1.90
O 0.3828 0.8838 0.6443  2 Fe 1.94-1.96
O 0.3843 0.1540 0.7517  1 Fe 1.89
O 0.3849 0.3815 0.1422  1 Fe 1.92, 1 Mn 2.02
O 0.3849 0.8789 0.1419  2 Mn 1.94-2.02
O 0.3886 0.6484 0.7526  1 Fe 1.88
O 0.5197 0.7394 0.0271  1 Mn 1.91
O 0.5265 0.2434 0.5368  1 Fe 1.90
O 0.5263 0.7360 0.5333  1 Fe 1.88
O 0.5277 0.2357 0.0323  1 Fe 1.90
O 0.5656 0.5576 0.8780  2 Fe 1.99-2.00
O 0.5672 0.0596 0.8819  2 Fe 2.01
O 0.5694 0.0626 0.3878  2 Fe 2.00-2.01
O 0.5690 0.5606 0.3851  2 Fe 2.00-2.01
O 0.5739 0.3211 0.8980  2 Fe 2.00
O 0.5750 0.3197 0.3996  2 Fe 1.98-1.99
O 0.5764 0.8215 0.4018  2 Fe 2.00
O 0.5769 0.8177 0.8975  2 Fe 1.99-2.00
O 0.6250 0.5156 0.6510  1 Fe 1.94, 1 Mn 2.02
O 0.6270 0.5072 0.1422  1 Fe 1.94, 1 Mn 2.01
O 0.6305 0.0005 0.6436  2 Fe 1.93-1.94
O 0.6334 0.8555 0.2572  1 Mn 1.90
O 0.6363 0.0003 0.1423  2 Mn 1.93-2.00
O 0.6371 0.3457 0.2521  1 Fe 1.90
O 0.6389 0.8374 0.7516  1 Fe 1.89
O 0.6425 0.3445 0.7529  1 Fe 1.88
O 0.7671 0.5238 0.5310  1 Mn 1.90
O 0.7678 0.5270 0.0271  1 Mn 1.91
O 0.7699 0.0262 0.0269  1 Mn 1.91
O 0.7776 0.0348 0.5352  1 Fe 1.89
O 0.8148 0.5605 0.8792  2 Fe 1.98
O 0.8176 0.0579 0.8792  2 Fe 2.00
O 0.8182 0.5633 0.3870  2 Fe 2.00
O 0.8189 0.0637 0.3865  2 Fe 1.99
O 0.8246 0.8172 0.8971  2 Fe 2.00
O 0.8259 0.3185 0.8978  2 Fe 2.00-2.02
O 0.8264 0.3186 0.4015  2 Fe 1.99-2.00
O 0.8257 0.8191 0.4014  2 Fe 2.00-2.01
O 0.8794 0.8805 0.6520  2 Fe 1.95-1.97
O 0.8825 0.6406 0.2571  1 Mn 1.90
O 0.8831 0.3813 0.1421  2 Mn 1.97-1.98
O 0.8834 0.6511 0.7567  1 Mn 1.88
O 0.8846 0.1406 0.2570  1 Mn 1.90
O 0.8846 0.1571 0.7508  1 Fe 1.89
O 0.8852 0.8787 0.1420  2 Mn 1.94-2.02
O 0.8862 0.3890 0.6523  1 Fe 1.94, 1 Mn 1.98

=====

Entry 2:
First-principles (GGA+U) data for a geometry-optimized Sr7CaMn4Fe4O20 structure, as listed in the Materials Project database.

Properties
The space group is P1 (1). The crystal system is triclinic.

a b c (Å): 11.1955 11.2629 17.8183
angles (deg): 108.36 108.17 90.02
With the nearest neighbours (Å) after each atom.
Sites, in units of the cell vectors:
Sr 0.0000 0.0000 0.0000  7 O 2.49-2.79
Sr 0.0004 0.0005 0.5022  6 O 2.48-2.66
Sr 0.9998 0.4996 0.0001  7 O 2.49-2.77
Sr 0.0007 0.5006 0.5019  7 O 2.49-2.76
Sr 0.1414 0.1423 0.7837  6 O 2.47-2.66
Sr 0.1424 0.6431 0.7838  6 O 2.48-2.66
Sr 0.1428 0.1419 0.2850  7 O 2.50-2.79
Sr 0.1429 0.6421 0.2851  7 O 2.50-2.79
Sr 0.2502 0.2403 0.0001  6 O 2.49-2.73
Sr 0.2496 0.7411 0.0002  7 O 2.49-2.78
Sr 0.2517 0.2421 0.5028  6 O 2.50-2.70
Sr 0.2522 0.7433 0.5039  6 O 2.54-2.69
Sr 0.3915 0.3815 0.7837  7 O 2.48-2.74
Sr 0.3932 0.3835 0.2849  6 O 2.50-2.67
Sr 0.3930 0.8834 0.2850  6 O 2.50-2.66
Sr 0.5013 0.0006 0.0002  6 O 2.49-2.72
Sr 0.5009 0.4992 0.0000  6 O 2.49-2.67
Sr 0.5006 0.5011 0.5026  7 O 2.49-2.78
Sr 0.5023 0.0004 0.5035  8 O 2.54-2.84
Sr 0.6413 0.6429 0.7831  6 O 2.47-2.67
Sr 0.6428 0.1421 0.2853  7 O 2.50-2.79
Sr 0.6427 0.6420 0.2852  7 O 2.50-2.79
Sr 0.7507 0.2402 0.0000  7 O 2.49-2.78
Sr 0.7506 0.7411 0.9997  7 O 2.49-2.78
Sr 0.7523 0.2428 0.5043  8 O 2.55-2.81
Sr 0.7532 0.7437 0.5047  8 O 2.56-2.82
Sr 0.8926 0.3832 0.2848  6 O 2.49-2.66
Sr 0.8927 0.8834 0.2848  6 O 2.49-2.67
Ca 0.3939 0.8808 0.7894  6 O 2.38-2.55
Ca 0.6464 0.1500 0.7891  6 O 2.38-2.55
Ca 0.8931 0.8799 0.7892  6 O 2.39-2.55
Ca 0.8953 0.3796 0.7892  6 O 2.39-2.56
Mn 0.0520 0.3472 0.6454  4 O 1.89-2.01
Mn 0.0532 0.8481 0.6458  4 O 1.89-2.01
Mn 0.0541 0.3449 0.1422  4 O 1.91-2.02
Mn 0.0541 0.8451 0.1421  4 O 1.91-2.02
Mn 0.3043 0.0376 0.1422  4 O 1.90-2.02
Mn 0.3042 0.5373 0.1423  4 O 1.90-2.02
Mn 0.3052 0.5407 0.6437  4 O 1.90-2.02
Mn 0.3067 0.0345 0.6455  4 O 1.89-2.04
Mn 0.5542 0.8516 0.6475  4 O 1.88-2.03
Mn 0.5547 0.3451 0.1422  4 O 1.90-2.02
Mn 0.5546 0.8457 0.1424  4 O 1.90-2.01
Mn 0.5574 0.3428 0.6440  4 O 1.90-2.02
Mn 0.8020 0.0393 0.6477  4 O 1.89-2.03
Mn 0.8045 0.0378 0.1421  4 O 1.91-2.02
Mn 0.8046 0.5375 0.1422  4 O 1.91-2.02
Mn 0.8057 0.5389 0.6455  4 O 1.90-2.04
Fe 0.1960 0.4407 0.8911  6 O 1.99-2.20
Fe 0.1959 0.9402 0.8898  6 O 1.99-2.22
Fe 0.1971 0.4422 0.3936  6 O 1.99-2.19
Fe 0.1975 0.9417 0.3939  6 O 1.98-2.19
Fe 0.4460 0.1889 0.8889  5 O 1.98-2.12
Fe 0.4465 0.6917 0.8916  6 O 1.98-2.19
Fe 0.4475 0.1919 0.3940  6 O 1.99-2.20
Fe 0.4474 0.6926 0.3941  6 O 1.98-2.20
Fe 0.6950 0.9401 0.8878  5 O 1.98-2.10
Fe 0.6962 0.4397 0.8896  6 O 1.98-2.22
Fe 0.6973 0.4420 0.3941  6 O 1.98-2.20
Fe 0.6968 0.9417 0.3939  6 O 1.98-2.21
Fe 0.9449 0.1894 0.8888  5 O 1.98-2.13
Fe 0.9453 0.6897 0.8893  6 O 1.99-2.22
Fe 0.9467 0.1920 0.3939  6 O 1.98-2.19
Fe 0.9467 0.6921 0.3937  6 O 1.99-2.19
O 0.0133 0.7477 0.5308  1 Mn 1.91
O 0.0137 0.2470 0.5306  1 Mn 1.91
O 0.0173 0.2438 0.0278  1 Mn 1.91
O 0.0180 0.7440 0.0278  1 Mn 1.91
O 0.0642 0.0587 0.8832  2 Fe 1.99
O 0.0642 0.5590 0.8833  2 Fe 1.99
O 0.0691 0.5646 0.3897  2 Fe 1.99
O 0.0696 0.0645 0.3904  2 Fe 1.99
O 0.0720 0.3200 0.8965  2 Fe 1.99
O 0.0722 0.8196 0.8957  2 Fe 1.99
O 0.0736 0.3198 0.3985  2 Fe 1.99
O 0.0736 0.8201 0.3987  2 Fe 1.99
O 0.1322 0.8601 0.2569  1 Mn 1.91
O 0.1326 0.3601 0.2570  1 Mn 1.91
O 0.1344 0.0051 0.6433  2 Mn 1.94-2.01
O 0.1343 0.0055 0.1422  2 Mn 1.94-2.02
O 0.1345 0.5054 0.1425  2 Mn 1.94-2.02
O 0.1353 0.5035 0.6433  2 Mn 1.95-2.01
O 0.1367 0.3580 0.7576  1 Mn 1.89
O 0.1404 0.8583 0.7574  1 Mn 1.89
O 0.2672 0.5244 0.0281  1 Mn 1.90
O 0.2678 0.0245 0.0280  1 Mn 1.90
O 0.2683 0.5242 0.5291  1 Mn 1.90
O 0.2721 0.0201 0.5309  1 Mn 1.91
O 0.3182 0.5656 0.8875  2 Fe 1.99
O 0.3191 0.0655 0.3895  2 Fe 1.98-1.99
O 0.3195 0.5660 0.3896  2 Fe 1.99
O 0.3197 0.0618 0.8850  2 Fe 1.98-1.99
O 0.3235 0.3184 0.3983  2 Fe 1.99
O 0.3232 0.8181 0.3977  2 Fe 1.98
O 0.3237 0.3175 0.8977  2 Fe 2.00
O 0.3243 0.8190 0.8968  2 Fe 1.98-1.99
O 0.3822 0.6457 0.7568  1 Mn 1.90
O 0.3828 0.1373 0.2569  1 Mn 1.91
O 0.3831 0.6369 0.2569  1 Mn 1.91
O 0.3844 0.1421 0.7567  1 Mn 1.89
O 0.3844 0.3767 0.1419  2 Mn 1.94-2.02
O 0.3841 0.8733 0.6525  2 Mn 1.95-2.04
O 0.3843 0.8769 0.1421  2 Mn 1.94-2.02
O 0.3886 0.3821 0.6443  2 Mn 1.94-2.02
O 0.5177 0.7528 0.5320  1 Mn 1.92
O 0.5187 0.2450 0.5292  1 Mn 1.90
O 0.5203 0.2438 0.0282  1 Mn 1.90
O 0.5197 0.7454 0.0283  1 Mn 1.90
O 0.5662 0.0599 0.8806  2 Fe 1.98
O 0.5682 0.5625 0.8859  2 Fe 1.99
O 0.5696 0.0641 0.3897  2 Fe 1.98-1.99
O 0.5699 0.5651 0.3911  2 Fe 1.99
O 0.5713 0.8211 0.8954  2 Fe 1.99
O 0.5735 0.8197 0.3982  2 Fe 1.98
O 0.5736 0.3202 0.3985  2 Fe 1.99
O 0.5747 0.3171 0.8957  2 Fe 1.99
O 0.6315 0.0180 0.6523  2 Mn 1.95-2.03
O 0.6321 0.3604 0.2570  1 Mn 1.91
O 0.6325 0.8600 0.2570  1 Mn 1.91
O 0.6348 0.0059 0.1426  2 Mn 1.94-2.01
O 0.6347 0.5058 0.1424  2 Mn 1.94-2.02
O 0.6358 0.3509 0.7568  1 Mn 1.90
O 0.6359 0.5042 0.6436  2 Mn 1.93-2.02
O 0.6404 0.8542 0.7572  1 Mn 1.88, 1 Fe 2.10
O 0.7666 0.0195 0.5318  1 Mn 1.92
O 0.7682 0.0253 0.0278  1 Mn 1.91
O 0.7691 0.5239 0.0279  1 Mn 1.91
O 0.7716 0.5209 0.5306  1 Mn 1.91
O 0.8153 0.0626 0.8807  2 Fe 1.98-1.99
O 0.8182 0.5606 0.8827  2 Fe 1.99
O 0.8189 0.0654 0.3899  2 Fe 1.98-1.99
O 0.8188 0.5654 0.3891  2 Fe 1.98-1.99
O 0.8224 0.3166 0.8952  2 Fe 1.98-1.99
O 0.8230 0.3180 0.3977  2 Fe 1.98
O 0.8232 0.8184 0.3981  2 Fe 1.98-1.99
O 0.8244 0.8192 0.8969  2 Fe 1.99
O 0.8829 0.1369 0.2569  1 Mn 1.91
O 0.8827 0.6375 0.2568  1 Mn 1.91
O 0.8829 0.6504 0.7565  1 Mn 1.90
O 0.8842 0.3769 0.1422  2 Mn 1.94-2.02
O 0.8841 0.8770 0.1420  2 Mn 1.94-2.02
O 0.8848 0.1511 0.7572  1 Mn 1.89
O 0.8846 0.3776 0.6528  2 Mn 1.94-2.04
O 0.8846 0.8803 0.6537  2 Mn 1.96-2.03

=====

Number 1: calculated volume 13.95 Å³/atom, ΔH_f (0 K) -2.40 eV/atom, E -0.48549 Ry per atom. Number 2: calculated volume 13.99 Å³/atom, ΔH_f (0 K) -2.43 eV/atom, E -0.49287 Ry per atom.